(1)
First-principles (PBE-GGA) data for an optimized crystal structure of LiMg3, as listed in Materials Project.

abc: 4.978 4.978 4.978
angles: 60.00 60.00 60.00
Positions (direct):
Mg1 0.000 0.000 0.000
Mg2 0.750 0.750 0.750
Mg3 0.250 0.250 0.250
Li1 0.500 0.500 0.500

Results
ΔE_f = -0.027 eV per atom
Space group = No. 225


(2)
First-principles (PBE-GGA) data for an optimized crystal structure of TeH12AuC4S3N, as listed in Materials Project.

abc: 19.459 6.794 9.408
angles: 79.12 90.00 90.00
Positions (direct):
C1 0.189 0.597 0.991
H1 0.126 0.862 0.787
H2 0.053 0.708 0.765
H3 0.930 0.224 0.063
C2 0.407 0.375 0.448
Te1 0.856 0.011 0.628
H4 0.610 0.681 0.440
Te2 0.644 0.011 0.128
S1 0.728 0.958 0.303
H5 0.110 0.319 0.060
N1 0.637 0.445 0.617
H6 0.162 0.629 0.086
S2 0.049 0.861 0.246
H7 0.719 0.272 0.560
H8 0.338 0.629 0.586
S3 0.451 0.861 0.746
H9 0.721 0.536 0.478
Te3 0.144 0.989 0.372
H10 0.890 0.681 0.940
N2 0.363 0.555 0.383
H11 0.874 0.138 0.213
H12 0.461 0.420 0.445
C3 0.674 0.486 0.749
C4 0.907 0.625 0.052
H13 0.390 0.319 0.560
S4 0.549 0.139 0.254
H14 0.553 0.292 0.735
S5 0.396 0.328 0.876
C5 0.407 0.738 0.340
H15 0.600 0.743 0.616
C6 0.593 0.625 0.552
N3 0.863 0.445 0.117
S6 0.772 0.958 0.803
C7 0.593 0.262 0.660
H16 0.279 0.464 0.522
H17 0.636 0.519 0.827
S7 0.604 0.672 0.124
H18 0.947 0.292 0.235
C8 0.093 0.738 0.840
H19 0.400 0.257 0.384
C9 0.826 0.486 0.249
H20 0.779 0.536 0.978
S8 0.228 0.042 0.197
H21 0.070 0.776 0.937
H22 0.281 0.728 0.440
H23 0.039 0.420 0.945
H24 0.961 0.580 0.055
C10 0.811 0.403 0.009
H25 0.364 0.481 0.173
H26 0.430 0.776 0.437
Au1 0.975 0.764 0.440
H27 0.207 0.383 0.783
H28 0.570 0.224 0.563
C11 0.311 0.597 0.491
H29 0.296 0.647 0.206
H30 0.447 0.708 0.265
H31 0.662 0.371 0.414
H32 0.707 0.617 0.717
H33 0.204 0.647 0.706
H34 0.293 0.383 0.283
H35 0.539 0.580 0.555
H36 0.219 0.728 0.940
H37 0.793 0.617 0.217
S9 0.896 0.672 0.624
S10 0.272 0.042 0.697
C12 0.689 0.403 0.509
Au2 0.025 0.236 0.560
H38 0.136 0.481 0.673
H39 0.626 0.138 0.713
S11 0.951 0.139 0.754
H40 0.796 0.353 0.294
C13 0.174 0.514 0.751
Au3 0.525 0.764 0.940
C14 0.093 0.375 0.948
H41 0.900 0.743 0.116
Te4 0.356 0.989 0.872
N4 0.137 0.555 0.883
H42 0.704 0.353 0.794
H43 0.838 0.371 0.914
C15 0.326 0.514 0.251
H44 0.864 0.519 0.327
Au4 0.475 0.236 0.060
H45 0.221 0.464 0.022
C16 0.907 0.262 0.160
H46 0.781 0.272 0.060
H47 0.100 0.257 0.884
H48 0.374 0.862 0.287
S12 0.104 0.328 0.376

Results
ΔE_f = -0.199 eV per atom
Space group = No. 14
MP2020-corrected energy = -4.962 eV per atom


(3)
First-principles (PBE-GGA) data for an optimized crystal structure of Cs2Cu2Si8O19, as listed in Materials Project.

abc: 8.653 10.137 11.845
angles: 94.54 90.00 90.00
Positions (direct):
O1 0.024 0.977 0.397
Si1 0.064 0.792 0.766
O2 0.250 0.362 0.752
Cu1 0.992 0.849 0.515
O3 0.004 0.742 0.642
Si2 0.566 0.552 0.884
Si3 0.936 0.208 0.234
O4 0.500 0.500 0.000
O5 0.000 0.500 0.000
Si4 0.567 0.058 0.736
O6 0.514 0.937 0.813
O7 0.250 0.915 0.239
Si5 0.070 0.323 0.720
Si6 0.430 0.323 0.720
O8 0.038 0.555 0.222
O9 0.750 0.581 0.899
O10 0.529 0.811 0.213
O11 0.032 0.305 0.588
Si7 0.570 0.677 0.280
O12 0.250 0.419 0.101
O13 0.485 0.693 0.864
O14 0.015 0.693 0.864
Si8 0.930 0.677 0.280
O15 0.971 0.811 0.213
Si9 0.436 0.792 0.766
O16 0.750 0.085 0.761
O17 0.515 0.307 0.136
Cs1 0.250 0.101 0.981
O18 0.750 0.184 0.220
Si10 0.933 0.058 0.736
O19 0.976 0.023 0.603
Si11 0.433 0.942 0.264
Si12 0.066 0.448 0.116
Si13 0.564 0.208 0.234
Cs2 0.750 0.509 0.546
O20 0.504 0.258 0.358
Cs3 0.250 0.491 0.454
Cu2 0.492 0.151 0.485
Cu3 0.008 0.151 0.485
O21 0.985 0.307 0.136
O22 0.250 0.816 0.780
Cs4 0.750 0.899 0.019
O23 0.986 0.937 0.813
O24 0.996 0.258 0.358
Cu4 0.508 0.849 0.515
O25 0.968 0.695 0.412
O26 0.486 0.063 0.187
Si14 0.434 0.448 0.116
O27 0.476 0.977 0.397
O28 0.029 0.189 0.787
O29 0.496 0.742 0.642
O30 0.524 0.023 0.603
O31 0.532 0.695 0.412
O32 0.014 0.063 0.187
O33 0.538 0.445 0.778
Si15 0.934 0.552 0.884
O34 0.462 0.555 0.222
O35 0.468 0.305 0.588
O36 0.750 0.638 0.248
Si16 0.067 0.942 0.264
O37 0.471 0.189 0.787
O38 0.962 0.445 0.778

Results
ΔE_f = -2.870 eV per atom
Space group = No. 11
MP2020-corrected energy = -7.624 eV per atom


(4)
First-principles (PBE-GGA) data for an optimized crystal structure of CeB4Ir2Os2, as listed in Materials Project.

abc: 7.624 7.624 4.010
angles: 90.00 90.00 90.00
Positions (direct):
Ir1 0.390 0.658 0.137
Os1 0.854 0.890 0.360
Os2 0.110 0.854 0.860
B1 0.216 0.839 0.364
B2 0.278 0.662 0.641
Ir2 0.610 0.342 0.137
Ir3 0.658 0.610 0.637
B3 0.662 0.722 0.141
B4 0.784 0.161 0.364
Os3 0.146 0.110 0.360
B5 0.338 0.278 0.141
B6 0.839 0.784 0.864
B7 0.161 0.216 0.864
Ce1 0.500 0.000 0.746
Os4 0.890 0.146 0.860
Ce2 0.000 0.500 0.246
Ir4 0.342 0.390 0.637
B8 0.722 0.338 0.641

Results
ΔE_f = -0.499 eV per atom
Space group = No. 77


(5)
First-principles (PBE-GGA) data for an optimized crystal structure of Na8In2Si5Ge2SO24, as listed in Materials Project.

abc: 9.074 9.066 22.081
angles: 90.58 88.75 120.33
Positions (direct):
O1 0.827 0.327 0.242
O2 0.310 0.854 0.978
O3 0.011 0.178 0.910
Na1 0.336 0.668 0.665
O4 0.859 0.367 0.913
O5 0.362 0.857 0.854
O6 0.174 0.500 0.259
O7 0.503 0.173 0.238
Ge1 0.685 0.329 0.488
Na2 0.645 0.005 0.252
O8 0.143 0.643 0.089
Na3 0.991 0.990 0.502
In1 0.315 0.653 0.020
O9 0.518 0.648 0.861
O10 0.170 0.690 0.750
S1 0.336 0.375 0.416
O11 0.836 0.284 0.525
O12 0.814 0.764 0.309
O13 0.186 0.948 0.191
Na4 0.321 0.283 0.918
Na5 0.043 0.706 0.584
Si1 0.300 0.300 0.747
O14 0.632 0.153 0.424
O15 0.513 0.867 0.082
O16 0.797 0.823 0.912
Si2 0.382 0.058 0.586
O17 0.038 0.841 0.690
O18 0.359 0.481 0.362
O19 0.143 0.503 0.854
S2 0.668 0.040 0.085
Si3 0.689 0.697 0.252
O20 0.679 0.168 0.740
Na6 0.046 0.337 0.087
O21 0.860 0.363 0.644
In2 0.006 0.000 0.156
Na7 0.369 0.010 0.749
Ge2 0.667 0.335 0.685
O22 0.142 0.491 0.583
O23 0.819 0.996 0.412
Na8 0.671 0.694 0.087
Si4 0.702 0.000 0.748
Si5 0.953 0.625 0.085
Na9 0.664 0.955 0.584
O24 0.183 0.169 0.089
O25 0.497 0.674 0.264
Na10 0.325 0.657 0.168
Na11 0.706 0.044 0.908
O26 0.148 0.697 0.479
O27 0.190 0.041 0.590
O28 0.018 0.832 0.412
In3 0.008 0.005 0.844
Na12 0.636 0.635 0.747
Na13 0.354 0.360 0.249
O29 0.471 0.179 0.524
O30 0.638 0.512 0.916
Na14 0.974 0.668 0.916
O31 0.643 0.123 0.139
Si6 0.951 0.323 0.587
O32 0.447 0.292 0.022
Si7 0.332 0.954 0.914
Na15 0.667 0.326 0.829
Ge3 0.314 0.671 0.806
Si8 0.625 0.964 0.418
O33 0.549 0.691 0.973
Si9 0.310 0.006 0.249
Si10 0.378 0.334 0.085
O34 0.854 0.494 0.143
Si11 0.993 0.704 0.747
O35 0.967 0.812 0.089
O36 0.376 0.515 0.086
O37 0.823 0.023 0.089
Na16 0.329 0.025 0.417
Si12 0.043 0.372 0.913
In4 0.996 0.996 0.345
O38 0.317 0.492 0.755
O39 0.492 0.324 0.739
O40 0.850 0.549 0.023
O41 0.129 0.628 0.358
O42 0.163 0.207 0.691
Ge4 0.328 0.684 0.312
O43 0.240 0.060 0.309
Si13 0.675 0.618 0.585
O44 0.510 0.821 0.754
O45 0.494 0.362 0.418
Na17 0.709 0.676 0.419
Ge5 0.000 0.000 0.648
O46 0.327 0.834 0.258
O47 0.500 0.357 0.144
O48 0.944 0.765 0.809
O49 0.506 0.144 0.912
O50 0.359 0.868 0.586
O51 0.695 0.137 0.028
Si14 0.036 0.662 0.419
Na18 0.296 0.337 0.587
Si15 0.999 0.310 0.250
O52 0.850 0.810 0.590
S3 0.622 0.668 0.914
O53 0.048 0.236 0.191
In5 0.667 0.331 0.979
Na19 0.999 0.642 0.250
O54 0.827 0.510 0.739
Na20 0.960 0.295 0.413
O55 0.709 0.530 0.523
In6 0.335 0.675 0.523
O56 0.504 0.636 0.582
O57 0.505 0.146 0.644
O58 0.183 0.201 0.413
Na21 0.021 0.008 0.000
O59 0.964 0.148 0.592
Ge6 0.667 0.351 0.189
Na22 0.285 0.963 0.081
O60 0.759 0.820 0.192
O61 0.796 0.956 0.691
Na23 0.671 0.332 0.334
O62 0.242 0.188 0.809
O63 0.497 0.872 0.358
O64 0.843 0.482 0.423
O65 0.151 0.435 0.975
O66 0.308 0.448 0.472
O67 0.556 0.843 0.477
O68 0.669 0.506 0.244
O69 0.951 0.187 0.309
O70 0.814 0.045 0.809
Na24 0.993 0.360 0.749
O71 0.159 0.966 0.912
O72 0.642 0.499 0.644

Results
ΔE_f = -2.462 eV per atom
Space group = No. 1
MP2020-corrected energy = -6.637 eV per atom


(6)
First-principles (PBE-GGA) data for an optimized crystal structure of NdIn2Cl5, as listed in Materials Project.

abc: 8.223 8.823 13.106
angles: 90.00 90.00 90.00
Positions (direct):
Cl1 0.583 0.750 0.508
In1 0.452 0.505 0.673
In2 0.548 0.005 0.327
In3 0.452 0.995 0.673
Cl2 0.839 0.458 0.575
Cl3 0.839 0.750 0.298
Cl4 0.161 0.250 0.702
Nd1 0.575 0.750 0.005
Cl5 0.839 0.042 0.575
Cl6 0.619 0.250 0.821
In4 0.548 0.495 0.327
Cl7 0.381 0.750 0.179
Nd2 0.075 0.250 0.495
In5 0.952 0.495 0.827
Cl8 0.339 0.250 0.202
In6 0.952 0.005 0.827
Cl9 0.339 0.958 0.925
Nd3 0.925 0.750 0.505
Cl10 0.661 0.042 0.075
In7 0.048 0.505 0.173
Nd4 0.425 0.250 0.995
Cl11 0.917 0.750 0.008
Cl12 0.161 0.542 0.425
Cl13 0.881 0.250 0.321
Cl14 0.417 0.250 0.492
Cl15 0.661 0.750 0.798
Cl16 0.661 0.458 0.075
Cl17 0.119 0.750 0.679
Cl18 0.161 0.958 0.425
In8 0.048 0.995 0.173
Cl19 0.339 0.542 0.925
Cl20 0.083 0.250 0.992

Results
ΔE_f = -1.953 eV per atom
Space group = No. 62
MP2020-corrected energy = -4.392 eV per atom


(7)
First-principles (PBE-GGA) data for an optimized crystal structure of CaB3O8, as listed in Materials Project.

abc: 11.537 5.951 8.671
angles: 71.32 90.00 90.00
Positions (direct):
B1 0.333 0.853 0.537
B2 0.953 0.484 0.781
Ca1 0.709 0.725 0.864
O1 0.173 0.078 0.911
O2 0.436 0.503 0.207
O3 0.278 0.879 0.690
B3 0.833 0.147 0.963
O4 0.556 0.265 0.420
B4 0.789 0.303 0.667
B5 0.211 0.697 0.333
O5 0.565 0.689 0.332
O6 0.511 0.956 0.946
O7 0.444 0.735 0.580
B6 0.547 0.484 0.281
B7 0.047 0.516 0.219
O8 0.742 0.310 0.521
O9 0.758 0.310 0.021
O10 0.855 0.503 0.658
O11 0.222 0.879 0.190
O12 0.936 0.497 0.293
Ca2 0.791 0.725 0.364
Ca3 0.291 0.275 0.136
O13 0.564 0.497 0.793
B8 0.667 0.147 0.463
O14 0.435 0.311 0.668
B9 0.289 0.697 0.833
O15 0.011 0.044 0.554
O16 0.145 0.497 0.342
O17 0.355 0.497 0.842
O18 0.935 0.689 0.832
O19 0.242 0.690 0.979
O20 0.489 0.044 0.054
B10 0.453 0.516 0.719
O21 0.065 0.311 0.168
B11 0.167 0.853 0.037
O22 0.056 0.735 0.080
O23 0.722 0.121 0.310
O24 0.944 0.265 0.920
O25 0.827 0.922 0.089
O26 0.645 0.503 0.158
O27 0.673 0.922 0.589
O28 0.258 0.690 0.479
O29 0.778 0.121 0.810
B12 0.711 0.303 0.167
Ca4 0.209 0.275 0.636
O30 0.064 0.503 0.707
O31 0.327 0.078 0.411
O32 0.989 0.956 0.446

Results
ΔE_f = -1.855 eV per atom
Space group = No. 14
MP2020-corrected energy = -6.990 eV per atom
Polymorph energy (0 for the lowest one) = 51 meV/atom


(8)
First-principles (PBE-GGA) data for an optimized crystal structure of Cs2PaF7, as listed in Materials Project.

abc: 8.209 8.209 8.493
angles: 61.27 61.27 53.60
Positions (direct):
Pa1 0.532 0.468 0.250
Pa2 0.468 0.532 0.750
F1 0.596 0.196 0.787
F2 0.778 0.545 0.029
F3 0.196 0.596 0.287
Cs1 0.157 0.182 0.381
F4 0.554 0.310 0.078
Cs2 0.818 0.843 0.119
F5 0.167 0.833 0.750
F6 0.446 0.690 0.922
F7 0.404 0.804 0.213
F8 0.690 0.446 0.422
F9 0.545 0.778 0.529
F10 0.222 0.455 0.971
F11 0.310 0.554 0.578
F12 0.833 0.167 0.250
Cs3 0.182 0.157 0.881
Cs4 0.843 0.818 0.619
F13 0.804 0.404 0.713
F14 0.455 0.222 0.471

Results
ΔE_f = -3.794 eV per atom
Space group = No. 15
MP2020-corrected energy = -6.265 eV per atom